The following is a PBE calculation of a relaxed structure of Xe, from the Materials Project database.

Energy   -0.03 eV per atom
E_form   0.00 eV per formula unit
Relative energy among the computed polymorphs   2.1 meV per atom

Cell lengths 4.8316, 4.8316, 35.0297 Å; angles 90.00, 90.00, 120.00 degrees
Space group R-3m (No. 166, hexagonal axes)
One atom of each set of equivalent atoms:
1 Xe 0.0000 0.0000 0.0000 [3 per cell]
2 Xe 0.0000 0.0000 0.2223 [6 per cell]

***

The following is a PBE calculation of a relaxed structure of Y, from the Materials Project database.

Energy   -6.47 eV per atom
E_form   0.00 eV per formula unit
Relative energy among the computed polymorphs   0.0 meV per atom

Cell lengths 3.6020, 3.6020, 26.0048 Å; angles 90.00, 90.00, 120.00 degrees
Space group R-3m (No. 166, hexagonal axes)
One atom of each set of equivalent atoms:
1 Y 0.0000 0.0000 0.0000 [3 per cell]
2 Y 0.0000 0.0000 0.2218 [6 per cell]

***

The following is a PBE calculation of a relaxed structure of Y, from the Materials Project database.

Energy   -6.44 eV per atom
E_form   0.02 eV per formula unit
Relative energy among the computed polymorphs   24.0 meV per atom

Cell lengths 5.063, 5.063, 5.063 Å; angles 90.00, 90.00, 90.00 degrees
Space group Fm-3m (No. 225)
One atom of each set of equivalent atoms:
1 Y 0.000 0.000 0.000 [4 per cell]

***

The following is a PBE calculation of a relaxed structure of Y, from the Materials Project database.

Energy   -6.46 eV per atom
E_form   0.01 eV per formula unit
Relative energy among the computed polymorphs   6.9 meV per atom

Cell lengths 3.5891, 3.5891, 11.5959 Å; angles 90.00, 90.00, 120.00 degrees
Space group P6_3/mmc (No. 194)
One atom of each set of equivalent atoms:
1 Y 0.0000 0.0000 0.0000 [2 per cell]
2 Y 0.3333 0.6667 0.2500 [2 per cell]

***

The following is a PBE calculation of a relaxed structure of Y, from the Materials Project database.

Energy   -6.46 eV per atom
E_form   0.00 eV per formula unit
Relative energy among the computed polymorphs   3.5 meV per atom

Cell lengths 3.6590, 3.6590, 5.6660 Å; angles 90.00, 90.00, 120.00 degrees
Space group P6_3/mmc (No. 194)
One atom of each set of equivalent atoms:
1 Y 0.3333 0.6667 0.2500 [2 per cell]

***

The following is a PBE calculation of a relaxed structure of YZn2, from the Materials Project database.

Energy   -3.34 eV per atom
E_form   -1.03 eV per formula unit

Cell lengths 5.5288, 5.5288, 8.6854 Å; angles 90.00, 90.00, 120.00 degrees
Space group P6_3/mmc (No. 194)
One atom of each set of equivalent atoms:
1 Y 0.3333 0.6667 0.0586 [4 per cell]
2 Zn 0.0000 0.0000 0.0000 [2 per cell]
3 Zn 0.1697 0.3394 0.7500 [6 per cell]

***

The following is a PBE calculation of a relaxed structure of YZn2, from the Materials Project database.

Energy   -3.35 eV per atom
E_form   -1.05 eV per formula unit

Cell lengths 7.735, 7.735, 7.735 Å; angles 90.00, 90.00, 90.00 degrees
Space group Fd-3m (No. 227, origin choice 2)
One atom of each set of equivalent atoms:
1 Y 0.125 0.125 0.125 [8 per cell]
2 Zn 0.000 0.000 0.500 [16 per cell]

***

The following is a PBE calculation of a relaxed structure of Y3Zn11, from the Materials Project database.

Energy   -2.72 eV per atom
E_form   -4.89 eV per formula unit

Cell lengths 4.433, 8.831, 12.944 Å; angles 90.00, 90.00, 90.00 degrees
Space group Immm (No. 71)
One atom of each set of equivalent atoms:
1 Y 0.000 0.000 0.000 [2 per cell]
2 Y 0.000 0.000 0.294 [4 per cell]
3 Zn 0.000 0.182 0.500 [4 per cell]
4 Zn 0.000 0.280 0.138 [8 per cell]
5 Zn 0.000 0.360 0.342 [8 per cell]
6 Zn 0.000 0.500 0.000 [2 per cell]

***

The following is a PBE calculation of a relaxed structure of Zr2Zn, from the Materials Project database.

Energy   -6.30 eV per atom
E_form   -0.53 eV per formula unit

Cell lengths 3.305, 3.305, 11.347 Å; angles 90.00, 90.00, 90.00 degrees
Space group I4/mmm (No. 139)
One atom of each set of equivalent atoms:
1 Zr 0.000 0.000 0.157 [4 per cell]
2 Zn 0.000 0.000 0.500 [2 per cell]

***

The following is a PBE calculation of a relaxed structure of ZrZn22, from the Materials Project database.

Energy   -1.65 eV per atom
E_form   -1.61 eV per formula unit

Cell lengths 14.163, 14.163, 14.163 Å; angles 90.00, 90.00, 90.00 degrees
Space group Fd-3m (No. 227, origin choice 2)
One atom of each set of equivalent atoms:
1 Zr 0.125 0.125 0.125 [8 per cell]
2 Zn 0.000 0.000 0.000 [16 per cell]
3 Zn 0.000 0.000 0.500 [16 per cell]
4 Zn 0.015 0.375 0.875 [48 per cell]
5 Zn 0.062 0.062 0.319 [96 per cell]

***

> The lowest energy belongs to which entry?

number 2

***

> The lowest energy belongs to which entry?

number 2

***

> The highest energy belongs to which entry?

Xe

***

> Which of these has the lowest energy?

number 2